Record 1
Density functional theory data (GGA-PBE) for LiErO3 after structural relaxation.

a b c (Å): 3.655 3.655 3.655
angles (deg): 90.00 90.00 90.00
Fractional coordinates of all 5 atoms:
Li  0.000  0.000  0.000
Er  0.500  0.500  0.500
O  0.000  0.000  0.500
O  0.000  0.500  0.000
O  0.500  0.000  0.000

Calculated values
Symmetry: Pm-3m, No. 221
Total energy, eV per atom: -6.088

Record 2
Density functional theory data (GGA-PBE) for LiErP4O12 after structural relaxation.

a b c (Å): 9.015 9.015 9.726
angles (deg): 122.22 122.22 47.04
Fractional coordinates of all 36 atoms:
Li  0.000  0.000  0.000
Li  0.000  0.000  0.500
Er  0.235  0.765  0.750
Er  0.765  0.235  0.250
P  0.009  0.692  0.909
P  0.308  0.991  0.591
P  0.317  0.413  0.344
P  0.413  0.317  0.844
P  0.587  0.683  0.156
P  0.683  0.587  0.656
P  0.692  0.009  0.409
P  0.991  0.308  0.091
O  0.007  0.761  0.795
O  0.008  0.152  0.920
O  0.152  0.008  0.420
O  0.171  0.348  0.169
O  0.186  0.606  0.463
O  0.218  0.461  0.922
O  0.239  0.993  0.705
O  0.348  0.171  0.669
O  0.394  0.814  0.037
O  0.418  0.445  0.794
O  0.445  0.418  0.294
O  0.461  0.218  0.422
O  0.539  0.782  0.578
O  0.555  0.582  0.706
O  0.582  0.555  0.206
O  0.606  0.186  0.963
O  0.652  0.829  0.331
O  0.761  0.007  0.295
O  0.782  0.539  0.078
O  0.814  0.394  0.537
O  0.829  0.652  0.831
O  0.848  0.992  0.580
O  0.992  0.848  0.080
O  0.993  0.239  0.205

Calculated values
Symmetry: C2/c, No. 15
Total energy, eV per atom: -7.259

Record 3
Density functional theory data (GGA-PBE) for LiErP4O12 after structural relaxation.

a b c (Å): 8.921 8.921 9.626
angles (deg): 122.54 122.54 46.99
Fractional coordinates of all 36 atoms:
Li  0.207  0.793  0.750
Li  0.793  0.207  0.250
Er  0.297  0.703  0.250
Er  0.703  0.297  0.750
P  0.086  0.187  0.616
P  0.187  0.086  0.116
P  0.206  0.504  0.807
P  0.496  0.794  0.693
P  0.504  0.206  0.307
P  0.794  0.496  0.193
P  0.813  0.914  0.884
P  0.914  0.813  0.384
O  0.028  0.284  0.234
O  0.064  0.068  0.428
O  0.068  0.064  0.928
O  0.101  0.677  0.316
O  0.168  0.323  0.652
O  0.257  0.492  0.978
O  0.284  0.028  0.734
O  0.323  0.168  0.152
O  0.323  0.899  0.184
O  0.349  0.510  0.775
O  0.490  0.651  0.725
O  0.492  0.257  0.478
O  0.508  0.743  0.522
O  0.510  0.349  0.275
O  0.651  0.490  0.225
O  0.677  0.101  0.816
O  0.677  0.832  0.848
O  0.716  0.972  0.266
O  0.743  0.508  0.022
O  0.832  0.677  0.348
O  0.899  0.323  0.684
O  0.932  0.936  0.072
O  0.936  0.932  0.572
O  0.972  0.716  0.766

Calculated values
Symmetry: C2/c, No. 15
Total energy, eV per atom: -7.332

Record 4
Density functional theory data (GGA-PBE) for LiErS2O8 after structural relaxation.

a b c (Å): 7.535 7.535 5.843
angles (deg): 90.00 90.00 90.00
Fractional coordinates of all 24 atoms:
Li  0.000  0.500  0.250
Li  0.500  0.000  0.750
Er  0.000  0.500  0.750
Er  0.500  0.000  0.250
S  0.223  0.277  0.250
S  0.277  0.777  0.750
S  0.723  0.223  0.750
S  0.777  0.723  0.250
O  0.087  0.316  0.066
O  0.096  0.791  0.655
O  0.184  0.413  0.434
O  0.209  0.096  0.345
O  0.291  0.596  0.845
O  0.316  0.913  0.934
O  0.404  0.291  0.155
O  0.413  0.816  0.566
O  0.587  0.184  0.566
O  0.596  0.709  0.155
O  0.684  0.087  0.934
O  0.709  0.404  0.845
O  0.791  0.904  0.345
O  0.816  0.587  0.434
O  0.904  0.209  0.655
O  0.913  0.684  0.066

Calculated values
Symmetry: P-4n2, No. 118
Total energy, eV per atom: -6.467

Record 5
Density functional theory data (GGA-PBE) for Li3Er3Te2O12 after structural relaxation.

a b c (Å): 10.701 10.701 10.701
angles (deg): 109.47 109.47 109.47
Fractional coordinates of all 80 atoms:
Li  0.125  0.750  0.875
Li  0.125  0.875  0.250
Li  0.250  0.125  0.875
Li  0.250  0.625  0.375
Li  0.375  0.250  0.625
Li  0.375  0.625  0.750
Li  0.625  0.375  0.250
Li  0.625  0.750  0.375
Li  0.750  0.375  0.625
Li  0.750  0.875  0.125
Li  0.875  0.125  0.750
Li  0.875  0.250  0.125
Er  0.125  0.250  0.375
Er  0.125  0.375  0.750
Er  0.250  0.375  0.125
Er  0.250  0.875  0.625
Er  0.375  0.125  0.250
Er  0.375  0.750  0.125
Er  0.625  0.250  0.875
Er  0.625  0.875  0.750
Er  0.750  0.125  0.375
Er  0.750  0.625  0.875
Er  0.875  0.625  0.250
Er  0.875  0.750  0.625
Te  0.000  0.000  0.000
Te  0.000  0.000  0.500
Te  0.000  0.500  0.000
Te  0.000  0.500  0.500
Te  0.500  0.000  0.000
Te  0.500  0.000  0.500
Te  0.500  0.500  0.000
Te  0.500  0.500  0.500
O  0.028  0.200  0.121
O  0.028  0.328  0.907
O  0.079  0.700  0.672
O  0.079  0.879  0.407
O  0.093  0.621  0.421
O  0.093  0.972  0.672
O  0.121  0.028  0.200
O  0.121  0.593  0.921
O  0.172  0.200  0.579
O  0.172  0.472  0.593
O  0.200  0.121  0.028
O  0.200  0.579  0.172
O  0.300  0.328  0.921
O  0.300  0.472  0.379
O  0.328  0.907  0.028
O  0.328  0.921  0.300
O  0.379  0.300  0.472
O  0.379  0.579  0.907
O  0.407  0.079  0.879
O  0.407  0.828  0.528
O  0.421  0.093  0.621
O  0.421  0.828  0.800
O  0.472  0.379  0.300
O  0.472  0.593  0.172
O  0.528  0.407  0.828
O  0.528  0.621  0.700
O  0.579  0.172  0.200
O  0.579  0.907  0.379
O  0.593  0.172  0.472
O  0.593  0.921  0.121
O  0.621  0.421  0.093
O  0.621  0.700  0.528
O  0.672  0.079  0.700
O  0.672  0.093  0.972
O  0.700  0.528  0.621
O  0.700  0.672  0.079
O  0.800  0.421  0.828
O  0.800  0.879  0.972
O  0.828  0.528  0.407
O  0.828  0.800  0.421
O  0.879  0.407  0.079
O  0.879  0.972  0.800
O  0.907  0.028  0.328
O  0.907  0.379  0.579
O  0.921  0.121  0.593
O  0.921  0.300  0.328
O  0.972  0.672  0.093
O  0.972  0.800  0.879

Calculated values
Symmetry: Ia-3d, No. 230
Total energy, eV per atom: -6.620

Record 6
Density functional theory data (GGA-PBE) for LiEr4Zr4O14 after structural relaxation.

a b c (Å): 7.201 3.883 10.660
angles (deg): 90.00 90.27 90.00
Fractional coordinates of all 23 atoms:
Li  0.000  0.000  0.000
Er  0.000  0.500  0.000
Er  0.255  0.000  0.721
Er  0.500  0.500  0.000
Er  0.745  0.000  0.279
Zr  0.000  0.500  0.500
Zr  0.253  0.000  0.257
Zr  0.500  0.500  0.500
Zr  0.747  0.000  0.743
O  0.023  0.000  0.388
O  0.026  0.000  0.854
O  0.245  0.500  0.118
O  0.252  0.500  0.364
O  0.252  0.500  0.618
O  0.473  0.000  0.868
O  0.478  0.000  0.387
O  0.522  0.000  0.613
O  0.527  0.000  0.132
O  0.748  0.500  0.382
O  0.748  0.500  0.636
O  0.755  0.500  0.882
O  0.974  0.000  0.146
O  0.977  0.000  0.612

Calculated values
Symmetry: P2/m, No. 10
Total energy, eV per atom: -8.301

Q: What is the total energy in the sixth record?
A: -8.301 eV per atom

Q: Which of these has the highest total energy?
A: LiErO3

Q: Among the records above, which one has the highest total energy?
A: LiErO3